# 1
A plane-wave DFT calculation with PBE-GGA was carried out for an optimized crystal structure of Na2Ti7O15.

Cell lengths 7.9016, 7.9016, 21.4150 Å; angles 95.90, 95.90, 27.58 degrees
Last column: nearest neighbours and their distance in Å.
Fractional coordinates of all 48 atoms:
1 Na 0.0000 0.0000 0.0000  6 O 2.58-2.85
2 Na 0.0296 0.0296 0.5798  4 O 2.52-2.66
3 Na 0.0661 0.0661 0.1893  4 O 2.46-2.48
4 Na 0.0988 0.0988 0.7851  4 O 2.52-2.63
5 Ti 0.3167 0.3167 0.9965  4 O 1.76-1.96
6 Ti 0.3409 0.3409 0.5658  1 O 1.75
7 Ti 0.3692 0.3692 0.1399  4 O 1.84-1.95
8 Ti 0.3966 0.3966 0.7094  4 O 1.83-1.97
9 Ti 0.4220 0.4220 0.2837  2 O 1.75-1.95
10 Ti 0.4413 0.4413 0.8546  5 O 1.86-2.02
11 Ti 0.4677 0.4677 0.4254  5 O 1.83-2.01
12 Ti 0.6639 0.6639 0.9394  4 O 1.84-1.94
13 Ti 0.6873 0.6873 0.5095  4 O 1.83-1.94
14 Ti 0.7046 0.7046 0.0855  4 O 1.79-1.97
15 Ti 0.7308 0.7308 0.6562  4 O 1.79-1.97
16 Ti 0.7603 0.7603 0.2290  4 O 1.78-1.96
17 Ti 0.7866 0.7866 0.8000  4 O 1.80-1.96
18 Ti 0.8091 0.8091 0.3720  2 O 1.75-1.94
19 O 0.1901 0.1901 0.9511  3 Ti 1.94-2.08
20 O 0.2145 0.2145 0.5220  3 Ti 1.94-2.06
21 O 0.2424 0.2424 0.0848  3 Ti 1.97-2.17
22 O 0.2687 0.2687 0.6560  3 Ti 1.97-2.17
23 O 0.2915 0.2915 0.2201  3 Ti 1.96-2.19
24 O 0.3196 0.3196 0.7947  3 Ti 1.96-2.15
25 O 0.3433 0.3433 0.3607  3 Ti 1.98-2.14
26 O 0.3841 0.3841 0.9351  1 Ti 1.76
27 O 0.4072 0.4072 0.5039  1 Ti 1.75
28 O 0.4131 0.4131 0.0632  2 Ti 1.84-1.95
29 O 0.4391 0.4391 0.6329  2 Ti 1.83-1.97
30 O 0.4657 0.4657 0.2014  2 Ti 1.88-1.95
31 O 0.4896 0.4896 0.7725  2 Ti 1.86-1.98
32 O 0.5115 0.5115 0.3417  1 Ti 1.75
33 O 0.5514 0.5514 0.9003  2 Ti 1.84-1.86
34 O 0.5747 0.5747 0.4721  2 Ti 1.83
35 O 0.6124 0.6124 0.0269  1 Ti 1.79
36 O 0.6380 0.6380 0.5981  1 Ti 1.79
37 O 0.6617 0.6617 0.1649  2 Ti 1.89-1.93
38 O 0.6904 0.6904 0.7365  2 Ti 1.89-1.90
39 O 0.7172 0.7172 0.3027  2 Ti 1.78-1.94
40 O 0.7196 0.7196 0.8640  2 Ti 1.80-1.91
41 O 0.7491 0.7491 0.4374  2 Ti 1.75-1.90
42 O 0.7835 0.7835 0.0052  3 Ti 1.96-2.19
43 O 0.8088 0.8088 0.5761  3 Ti 1.96-2.19
44 O 0.8368 0.8368 0.1439  2 Ti 1.95
45 O 0.8618 0.8618 0.7155  2 Ti 1.97
46 O 0.8851 0.8851 0.2809  3 Ti 1.97-2.11
47 O 0.9139 0.9139 0.8486  3 Ti 1.93-2.12
48 O 0.9350 0.9350 0.4170  3 Ti 1.95-2.07

Output
Its space group is Cm, No. 8. The calculation puts the MP2020-corrected energy at -423.96 eV for the cell shown. The calculation puts the density at 3.35 g cm⁻³. For the formation energy from the elements, the calculation gives -3327 meV per atom. For the excess energy over the best structure of this formula in the dataset, the calculation gives 0.07 eV per formula unit. The calculation puts the total energy at -8.4032 eV/atom. The calculation puts the volume at 615.6 Å³/cell.


# 2
A plane-wave DFT calculation with PBE-GGA was carried out for an optimized crystal structure of NdMg12.

Cell lengths 7.8332, 7.8332, 7.8332 Å; angles 98.48, 98.48, 134.85 degrees
Last column: nearest neighbours and their distance in Å.
Fractional coordinates of all 13 atoms:
1 Nd 0.0000 0.0000 0.0000  20 Mg 3.61-3.92
2 Mg 0.0000 0.0000 0.5000  10 Mg 2.99-3.15
3 Mg 0.0000 0.3530 0.3530  9 Mg 3.01-3.31
4 Mg 0.0000 0.5000 0.0000  10 Mg 2.99-3.15
5 Mg 0.0000 0.6470 0.6470  9 Mg 3.01-3.31
6 Mg 0.2832 0.5000 0.7832  10 Mg 2.99-3.31
7 Mg 0.3530 0.0000 0.3530  9 Mg 3.01-3.31
8 Mg 0.5000 0.0000 0.0000  10 Mg 2.99-3.15
9 Mg 0.5000 0.2832 0.7832  10 Mg 2.99-3.31
10 Mg 0.5000 0.5000 0.5000  10 Mg 2.99-3.15
11 Mg 0.5000 0.7168 0.2168  10 Mg 2.99-3.31
12 Mg 0.6470 0.0000 0.6470  9 Mg 3.01-3.31
13 Mg 0.7168 0.5000 0.2168  10 Mg 2.99-3.31

Output
Its space group is I4/mmm, No. 139. The calculation puts the density at 2.30 g cm⁻³. For the formation energy from the elements, the calculation gives -34 meV per atom. The calculation puts the total energy at -1.8783 eV/atom. The calculation puts the volume at 314.7 Å³/cell.


Question: Which formula does entry 1 have?
Answer: Na2Ti7O15